Model i:
Ba10Y5Cu15O34 | PBE | optimized geometry

a b c (Å): 8.3506 8.9372 13.2688
angles (deg): 106.39 98.77 84.27
Element x y z (fractional)
O1 0.8382 0.6739 0.1885
Cu1 0.8054 0.6103 0.0216
O2 0.9995 0.5026 0.9912
O3 0.5978 0.6928 0.9905
Ba1 0.0679 0.6316 0.8381
Y1 0.4000 0.3000 0.5000
O4 0.4003 0.0499 0.5005
O5 0.6371 0.2863 0.2112
Cu2 0.4000 0.8000 0.0000
O6 0.1629 0.3137 0.7888
O7 0.4000 0.3000 0.0000
O8 0.3458 0.7168 0.7828
Cu3 0.7327 0.4443 0.6461
O9 0.9618 0.9261 0.8115
O10 0.3767 0.7523 0.3809
O11 0.3037 0.6061 0.0019
O12 0.7531 0.5182 0.7867
Y2 0.8148 0.1174 0.4999
O13 0.7490 0.3800 0.4993
O14 0.1008 0.2098 0.9976
O15 0.4542 0.8832 0.2172
Y3 0.6001 0.6866 0.4998
Y4 0.9852 0.4826 0.5001
O16 0.2252 0.4593 0.6220
Cu4 0.9313 0.8633 0.6558
Y5 0.1999 0.9134 0.5002
O17 0.0469 0.0819 0.2133
Ba2 0.6639 0.8302 0.8370
Ba3 0.1361 0.7698 0.1630
O18 0.6244 0.2376 0.6222
Cu5 0.4589 0.9493 0.3597
O19 0.1756 0.3624 0.3778
Cu6 0.6737 0.3262 0.3520
Cu7 0.6022 0.1996 0.9977
O20 0.6992 0.3902 0.0024
Cu8 0.2854 0.5381 0.3589
O21 0.8340 0.6737 0.6135
Ba4 0.5288 0.5619 0.1629
O22 0.7880 0.5816 0.3862
Cu9 0.3411 0.6507 0.6403
Ba5 0.4688 0.4361 0.8397
O23 0.2330 0.4891 0.2156
O24 0.3997 0.5501 0.4995
O25 0.9660 0.9263 0.3865
O26 0.4233 0.8477 0.6191
Cu10 0.1263 0.2738 0.6480
O27 0.0510 0.2200 0.5007
O28 0.0120 0.0184 0.6138
Ba6 0.9337 0.3576 0.1627
Cu11 0.8687 0.7367 0.3442
Cu12 0.0673 0.1557 0.3539
Cu13 0.1978 0.4004 0.0023
Cu14 0.9946 0.9897 0.9784
Ba7 0.3312 0.1639 0.1603
Ba8 0.2712 0.0381 0.8371
O29 0.2022 0.9072 0.0095
O30 0.5670 0.1109 0.7844
O31 0.8005 0.0974 0.0088
O32 0.4963 0.9939 0.9981
O33 0.5748 0.1407 0.3780
O34 0.9000 0.8000 0.0000
Cu15 0.5146 0.0619 0.6411
Ba9 0.7321 0.9684 0.1619
Ba10 0.8663 0.2424 0.8373



Model ii:
Ba10Y5Cu15O34 | PBE | optimized geometry

a b c (Å): 8.6530 8.7837 12.5297
angles (deg): 106.44 98.26 88.87
Element x y z (fractional)
O1 0.5249 0.5488 0.6220
O2 0.9381 0.3748 0.1523
O3 0.8239 0.6483 0.6204
O4 0.7249 0.9496 0.6222
Y1 0.9005 0.8003 0.5008
Y2 0.3000 0.6004 0.5009
Ba1 0.4360 0.8729 0.1813
O5 0.8758 0.2515 0.3774
O6 0.1761 0.3517 0.3796
O7 0.0242 0.0482 0.6204
O8 0.8771 0.2530 0.8477
O9 0.2751 0.0504 0.3778
Cu1 0.3712 0.2417 0.3562
Cu2 0.2289 0.9568 0.6438
O10 0.7757 0.5520 0.3796
Ba2 0.5640 0.1271 0.8187
Cu3 0.0282 0.5564 0.6426
O11 0.6673 0.8358 0.8405
Y3 0.5000 0.0000 0.5000
O12 0.2243 0.4480 0.6204
O13 0.4680 0.4361 0.8403
O14 0.4751 0.4512 0.3780
Cu4 0.8287 0.1575 0.6424
Cu5 0.7711 0.0432 0.3562
O15 0.1229 0.7470 0.1523
O16 0.5320 0.5639 0.1597
O17 0.5761 0.1520 0.3799
O18 0.9758 0.9518 0.3796
O19 0.1242 0.7485 0.6226
Ba3 0.1692 0.3217 0.8121
Cu6 0.1713 0.8425 0.3576
O20 0.0619 0.6252 0.8477
Cu7 0.5000 0.5000 0.0000
Ba4 0.3635 0.7279 0.8188
O21 0.9239 0.3482 0.6208
Y4 0.0995 0.1997 0.4992
O22 0.3759 0.7518 0.3796
Cu8 0.9718 0.4436 0.3574
O23 0.2058 0.9120 0.0000
Cu9 0.3009 0.1038 0.9999
Y5 0.7000 0.3996 0.4991
Ba5 0.8308 0.6783 0.1879
Cu10 0.8933 0.2871 0.9999
O24 0.7942 0.0880 0.0000
Ba6 0.0363 0.0727 0.1816
O25 0.6003 0.6934 0.9999
O26 0.3327 0.1642 0.1595
O27 0.3241 0.1489 0.6221
Cu11 0.6288 0.7583 0.6438
O28 0.2689 0.0368 0.8405
Ba7 0.7557 0.5280 0.8121
Ba8 0.6365 0.2721 0.1812
Ba9 0.9637 0.9273 0.8184
O29 0.6241 0.2482 0.6204
Cu12 0.6991 0.8962 0.0001
O30 0.4239 0.8480 0.6201
Cu13 0.1067 0.7129 0.0001
O31 0.0761 0.6518 0.3792
Cu14 0.4287 0.3574 0.6436
O32 0.6759 0.8511 0.3779
Cu15 0.5713 0.6426 0.3564
O33 0.3997 0.3066 0.0001
Ba10 0.2443 0.4720 0.1879
O34 0.7311 0.9632 0.1595



It turns out model ii is the most stable, with the second structure 12.5 kJ/mol of atoms higher.



Model i:
Ba2YCu4O8 | PBE | optimized geometry

a b c (Å): 14.7070 14.7070 3.8538
angles (deg): 90.00 90.00 164.89
Element x y z (fractional)
Y1 0.0000 0.0000 0.0000
Ba1 0.3637 0.6363 0.5000
Cu1 0.9172 0.0828 0.0000
O1 0.1506 0.8494 0.0000
O2 0.9418 0.0582 0.5000
O3 0.7206 0.2794 0.0000
O4 0.4426 0.5574 0.0000
Cu2 0.7854 0.2146 0.0000
Ba2 0.6363 0.3637 0.5000
Cu3 0.0828 0.9172 0.0000
O5 0.2794 0.7206 0.0000
O6 0.5574 0.4426 0.0000
O7 0.0582 0.9418 0.5000
Cu4 0.2146 0.7854 0.0000
O8 0.8494 0.1506 0.0000



Model ii:
Ba2YCu4O8 | PBE | optimized geometry

a b c (Å): 14.6349 14.6349 3.9724
angles (deg): 90.00 90.00 165.24
Element x y z (fractional)
O1 0.9250 0.0750 0.5000
O2 0.2792 0.7208 0.0000
Y1 0.0000 0.0000 0.5000
O3 0.7208 0.2792 0.0000
O4 0.0750 0.9250 0.5000
O5 0.5444 0.4556 0.0000
Cu1 0.7867 0.2133 0.0000
O6 0.8511 0.1489 0.0000
O7 0.4556 0.5444 0.0000
Ba1 0.6412 0.3588 0.5000
Cu2 0.0744 0.9256 0.0000
Ba2 0.3588 0.6412 0.5000
O8 0.1489 0.8511 0.0000
Cu3 0.9256 0.0744 0.0000
Cu4 0.2133 0.7867 0.0000



It turns out model ii is the most stable, with the second structure 5.7 kJ/mol of atoms higher.



Model i:
BaEuDySbO6 | PBE | optimized geometry

a b c (Å): 8.4125 8.4487 8.4390
angles (deg): 90.00 90.00 90.00
Element x y z (fractional)
Eu1 0.5000 0.0000 0.5000
Dy1 0.2500 0.2500 0.7500
O1 0.2282 0.4869 0.2694
O2 0.5143 0.7223 0.2175
O3 0.2718 0.9869 0.7694
O4 0.7718 0.4869 0.7306
Eu2 0.0000 0.5000 0.0000
O5 0.2835 0.7743 0.5143
Sb1 0.2500 0.2500 0.2500
Ba1 0.5000 0.0000 0.0000
O6 0.7165 0.7743 0.4857
O7 0.9857 0.2223 0.7175
Dy2 0.2500 0.7500 0.2500
Dy3 0.7500 0.7500 0.7500
Sb2 0.2500 0.7500 0.7500
Dy4 0.7500 0.2500 0.2500
O8 0.7282 0.0131 0.7694
O9 0.0143 0.7777 0.7175
O10 0.2718 0.0131 0.2306
O11 0.5143 0.2777 0.7825
O12 0.9857 0.7777 0.2825
O13 0.7835 0.2743 0.9857
Sb3 0.7500 0.7500 0.2500
O14 0.7835 0.7257 0.0143
O15 0.2165 0.2743 0.0143
Eu3 0.5000 0.5000 0.0000
Sb4 0.7500 0.2500 0.7500
Eu4 0.0000 0.0000 0.5000
O16 0.0143 0.2223 0.2825
O17 0.7718 0.5131 0.2694
O18 0.7282 0.9869 0.2306
O19 0.2835 0.2257 0.4857
Ba2 0.0000 0.0000 0.0000
O20 0.2282 0.5131 0.7306
O21 0.2165 0.7257 0.9857
Ba3 0.5000 0.5000 0.5000
O22 0.4857 0.2777 0.2175
O23 0.7165 0.2257 0.5143
O24 0.4857 0.7223 0.7825
Ba4 0.0000 0.5000 0.5000



Model ii:
BaEuDySbO6 | PBE | optimized geometry

a b c (Å): 5.9779 5.9779 5.9779
angles (deg): 60.00 60.00 60.00
Element x y z (fractional)
O1 0.2629 0.2629 0.7371
Sb1 0.5000 0.5000 0.5000
Eu1 0.7500 0.7500 0.7500
O2 0.7371 0.2629 0.2629
O3 0.7371 0.2629 0.7371
O4 0.2629 0.7371 0.2629
O5 0.2629 0.7371 0.7371
Ba1 0.2500 0.2500 0.2500
O6 0.7371 0.7371 0.2629
Dy1 0.0000 0.0000 0.0000



It turns out model i is the most stable, with the second structure 1.4 kJ/mol of atoms higher.



Model i:
BaDyNbSnO6 | PBE | optimized geometry

a b c (Å): 5.9373 5.9727 8.4913
angles (deg): 89.62 89.88 90.70
Element x y z (fractional)
Ba1 0.4958 0.4812 0.7491
O1 0.2322 0.2012 0.9493
O2 0.2733 0.6987 0.5197
O3 0.8035 0.7763 0.4565
O4 0.0537 0.4711 0.2644
O5 0.4081 0.0034 0.2360
Nb1 0.5000 0.0000 0.0000
O6 0.5919 0.9966 0.7640
Dy1 0.5000 0.0000 0.5000
Sn1 0.9966 0.9863 0.7472
Ba2 0.5042 0.5188 0.2509
O7 0.6971 0.2709 0.0266
O8 0.7267 0.3013 0.4803
Nb2 0.0000 0.5000 0.5000
O9 0.9463 0.5289 0.7356
O10 0.7678 0.7988 0.0507
O11 0.1965 0.2237 0.5435
Dy2 0.0000 0.5000 0.0000
Sn2 0.0034 0.0137 0.2528
O12 0.3029 0.7291 0.9734



Model ii:
BaDyNbSnO6 | PBE | optimized geometry

a b c (Å): 6.0095 6.0095 6.0095
angles (deg): 60.00 60.00 60.00
Element x y z (fractional)
O1 0.7371 0.7371 0.2629
Nb1 0.5000 0.5000 0.5000
Dy1 0.0000 0.0000 0.0000
O2 0.2629 0.7371 0.2629
O3 0.7371 0.2629 0.2629
O4 0.2629 0.2629 0.7371
O5 0.7371 0.2629 0.7371
Ba1 0.2500 0.2500 0.2500
Sn1 0.7500 0.7500 0.7500
O6 0.2629 0.7371 0.7371



It turns out model i is the most stable, with the second structure 3.7 kJ/mol of atoms higher.



Model i:
BaSrDyNbO6 | PBE | optimized geometry

a b c (Å): 5.9734 5.9779 8.4595
angles (deg): 90.23 90.15 90.50
Element x y z (fractional)
Dy1 0.5000 0.0000 0.5000
O1 0.9460 0.5153 0.7363
Dy2 0.0000 0.5000 0.0000
Ba1 0.5042 0.5191 0.2500
O2 0.0540 0.4847 0.2637
O3 0.2031 0.2297 0.5324
O4 0.2906 0.7374 0.9691
O5 0.2317 0.2049 0.9664
O6 0.5672 0.0057 0.7637
Sr1 0.9965 0.0232 0.2506
O7 0.7969 0.7703 0.4676
Nb1 0.5000 0.0000 0.0000
Sr2 0.0035 0.9768 0.7494
O8 0.7683 0.7951 0.0336
O9 0.2616 0.7111 0.5296
O10 0.4328 0.9943 0.2363
O11 0.7384 0.2889 0.4704
Ba2 0.4958 0.4809 0.7500
O12 0.7094 0.2626 0.0309
Nb2 0.0000 0.5000 0.5000



Model ii:
BaSrDyNbO6 | PBE | optimized geometry

a b c (Å): 6.0120 6.0120 6.0120
angles (deg): 60.00 60.00 60.00
Element x y z (fractional)
O1 0.7373 0.2627 0.2627
O2 0.2627 0.2627 0.7373
Dy1 0.0000 0.0000 0.0000
O3 0.2627 0.7373 0.2627
Sr1 0.2500 0.2500 0.2500
Ba1 0.7500 0.7500 0.7500
Nb1 0.5000 0.5000 0.5000
O4 0.2627 0.7373 0.7373
O5 0.7373 0.2627 0.7373
O6 0.7373 0.7373 0.2627



It turns out model i is the most stable, with the second structure 2.3 kJ/mol of atoms higher.



Model i:
BaDySnSbO6 | PBE | optimized geometry

a b c (Å): 5.9320 5.9320 8.5308
angles (deg): 90.00 90.00 90.00
Element x y z (fractional)
Ba1 0.0000 0.5000 0.2500
Dy1 0.0000 0.0000 0.0000
O1 0.7176 0.8114 0.4876
O2 0.6886 0.7824 0.0124
O3 0.2824 0.1886 0.4876
O4 0.5000 0.5000 0.7632
Sb1 0.5000 0.5000 0.0000
O5 0.2176 0.6886 0.9876
O6 0.7824 0.3114 0.9876
O7 0.3114 0.2176 0.0124
Sn1 0.5000 0.0000 0.2500
Sb2 0.0000 0.0000 0.5000
O8 0.5000 0.5000 0.2368
O9 0.0000 0.0000 0.7368
O10 0.0000 0.0000 0.2632
Dy2 0.5000 0.5000 0.5000
O11 0.1886 0.7176 0.5124
O12 0.8114 0.2824 0.5124
Ba2 0.5000 0.0000 0.7500
Sn2 0.0000 0.5000 0.7500



Model ii:
BaDySnSbO6 | PBE | optimized geometry

a b c (Å): 5.9797 5.9797 5.9797
angles (deg): 60.00 60.00 60.00
Element x y z (fractional)
Sn1 0.7500 0.7500 0.7500
Ba1 0.2500 0.2500 0.2500
O1 0.2630 0.2630 0.7370
Sb1 0.5000 0.5000 0.5000
O2 0.7370 0.2630 0.2630
O3 0.7370 0.7370 0.2630
Dy1 0.0000 0.0000 0.0000
O4 0.2630 0.7370 0.7370
O5 0.2630 0.7370 0.2630
O6 0.7370 0.2630 0.7370



It turns out model i is the most stable, with the second structure 1.5 kJ/mol of atoms higher.



Model i:
Ba3Er | PBE | optimized geometry

a b c (Å): 7.2181 7.2181 7.2181
angles (deg): 131.97 131.97 70.28
Element x y z (fractional)
Er1 0.0000 0.0000 0.0000
Ba1 0.7500 0.2500 0.5000
Ba2 0.5000 0.5000 0.0000
Ba3 0.2500 0.7500 0.5000



Model ii:
Ba3Er | PBE | optimized geometry

a b c (Å): 8.4200 8.4200 6.7272
angles (deg): 90.00 90.00 120.00
Element x y z (fractional)
Ba1 0.8278 0.6556 0.7500
Ba2 0.1722 0.3444 0.2500
Er1 0.3333 0.6667 0.7500
Ba3 0.3444 0.1722 0.7500
Ba4 0.6556 0.8278 0.2500
Er2 0.6667 0.3333 0.2500
Ba5 0.8278 0.1722 0.7500
Ba6 0.1722 0.8278 0.2500



It turns out model ii is the most stable, with the second structure 1.6 kJ/mol of atoms higher.